# NdSm3, relaxed, DFT meta-GGA r2SCAN
data_NdSm3
_cell_length_a 7.430
_cell_length_b 7.430
_cell_length_c 5.819
_cell_angle_alpha 90.00
_cell_angle_beta 90.00
_cell_angle_gamma 120.00
_space_group_name_H-M_alt 'P 1'
_space_group_IT_number 1
_space_group_name_Hall 'P 1'
loop_
_atom_site_label
_atom_site_fract_x
_atom_site_fract_y
_atom_site_fract_z
Nd1 0.333 0.667 0.250
Nd2 0.667 0.333 0.750
Sm1 0.167 0.333 0.750
Sm2 0.167 0.833 0.750
Sm3 0.333 0.167 0.250
Sm4 0.667 0.833 0.750
Sm5 0.833 0.167 0.250
Sm6 0.833 0.667 0.250
# SG: P6_3/mmc (194)
# Raw total energy in eV per atom: -29.630
# Excess energy over the best structure of this formula in the dataset in meV per atom: 0
# E_form in eV per atom: 0.024

# CuO, relaxed, DFT meta-GGA r2SCAN
data_CuO
_cell_length_a 4.100
_cell_length_b 4.045
_cell_length_c 5.176
_cell_angle_alpha 90.00
_cell_angle_beta 90.27
_cell_angle_gamma 90.00
_space_group_name_H-M_alt 'P 1'
_space_group_IT_number 1
_space_group_name_Hall 'P 1'
loop_
_atom_site_label
_atom_site_fract_x
_atom_site_fract_y
_atom_site_fract_z
Cu1 0.250 0.250 0.000
Cu2 0.250 0.750 0.500
Cu3 0.750 0.250 0.500
Cu4 0.750 0.750 0.000
O1 0.000 0.002 0.250
O2 0.000 0.998 0.750
O3 0.500 0.498 0.750
O4 0.500 0.502 0.250
# SG: C2/c (15)
# Raw total energy in eV per atom: -9.189
# E_form in eV per atom: -0.779

# Pr2Zn5Sn, relaxed, DFT meta-GGA r2SCAN
data_Pr2Zn5Sn
_cell_length_a 8.587
_cell_length_b 8.587
_cell_length_c 9.053
_cell_angle_alpha 90.00
_cell_angle_beta 90.00
_cell_angle_gamma 149.87
_space_group_name_H-M_alt 'P 1'
_space_group_IT_number 1
_space_group_name_Hall 'P 1'
loop_
_atom_site_label
_atom_site_fract_x
_atom_site_fract_y
_atom_site_fract_z
Pr1 0.000 0.000 0.000
Pr2 0.000 0.000 0.500
Pr3 0.206 0.794 0.750
Pr4 0.794 0.206 0.250
Zn1 0.185 0.815 0.109
Zn2 0.185 0.815 0.391
Zn3 0.343 0.657 0.015
Zn4 0.343 0.657 0.485
Zn5 0.395 0.605 0.750
Zn6 0.605 0.395 0.250
Zn7 0.657 0.343 0.515
Zn8 0.657 0.343 0.985
Zn9 0.815 0.185 0.609
Zn10 0.815 0.185 0.891
Sn1 0.445 0.555 0.250
Sn2 0.555 0.445 0.750
# SG: Cmcm (63)
# Raw total energy in eV per atom: -16.515
# E_form in eV per atom: -0.501

# LuMgAu2, relaxed, DFT meta-GGA r2SCAN
data_LuMgAu2
_cell_length_a 6.781
_cell_length_b 6.781
_cell_length_c 6.781
_cell_angle_alpha 90.00
_cell_angle_beta 90.00
_cell_angle_gamma 90.00
_space_group_name_H-M_alt 'P 1'
_space_group_IT_number 1
_space_group_name_Hall 'P 1'
loop_
_atom_site_label
_atom_site_fract_x
_atom_site_fract_y
_atom_site_fract_z
Lu1 0.000 0.000 0.000
Lu2 0.000 0.500 0.500
Lu3 0.500 0.000 0.500
Lu4 0.500 0.500 0.000
Mg1 0.000 0.000 0.500
Mg2 0.000 0.500 0.000
Mg3 0.500 0.000 0.000
Mg4 0.500 0.500 0.500
Au1 0.250 0.250 0.250
Au2 0.250 0.250 0.750
Au3 0.250 0.750 0.250
Au4 0.250 0.750 0.750
Au5 0.750 0.250 0.250
Au6 0.750 0.250 0.750
Au7 0.750 0.750 0.250
Au8 0.750 0.750 0.750
# SG: Fm-3m (225)
# Raw total energy in eV per atom: -36.689
# E_form in eV per atom: -0.834

Question: E_form of number 1 (NdSm3)?
Answer: 0.024 eV per atom